Below is a geometry-optimized CeCrO3 structure, with properties calculated at the PBE with a Hubbard U level.

Cell and atoms, written as POSCAR:
```
CeCrO3
1.0
3.907 0.000 0.000
0.000 3.907 0.000
0.000 0.000 3.907
Ce Cr O
1 1 3
Cartesian
0.000 0.000 0.000 Ce
1.953 1.953 1.953 Cr
0.000 1.953 1.953 O
1.953 0.000 1.953 O
1.953 1.953 0.000 O
```

Output
crystal system: cubic
calculated formation energy: -286.7 kJ per mole of atoms

---

Below is a geometry-optimized LiMn2F9 structure, with properties calculated at the PBE with a Hubbard U level.

Cell and atoms, written as POSCAR:
```
LiMn2F9
1.0
5.222 0.000 0.000
-2.528 4.613 0.000
-0.913 -1.095 14.528
Li Mn F
2 4 18
Cartesian
3.236 -0.388 6.676 Li
1.395 -0.055 13.977 Li
0.324 0.624 2.256 Mn
1.200 2.402 9.535 Mn
0.647 1.079 4.929 Mn
1.388 2.950 12.204 Mn
-1.480 4.188 3.798 F
2.227 1.018 5.777 F
-0.423 1.830 1.222 F
0.305 3.464 8.402 F
0.193 2.655 5.647 F
1.335 1.931 3.364 F
-0.884 1.020 3.755 F
2.066 3.904 1.648 F
1.727 0.361 1.172 F
4.333 -0.666 10.629 F
2.646 2.348 8.542 F
-0.175 0.094 6.186 F
-2.243 3.341 12.929 F
0.539 0.902 8.929 F
0.924 1.761 13.469 F
2.108 1.572 11.064 F
-0.101 2.540 11.056 F
3.083 -0.307 13.031 F
```

Output
excess energy over the best structure of this formula in the dataset: 0.0 meV per atom
crystal system: triclinic
calculated formation energy: -246.9 kJ per mole of atoms